# r2SCAN ZrMnSi, relaxed
data_ZrMnSi
_space_group_name_H-M_alt 'P 1'
_space_group_IT_number 1
_space_group_name_Hall 'P 1'
_cell_length_a 3.805
_cell_length_b 6.674
_cell_length_c 7.718
_cell_angle_alpha 90.00
_cell_angle_beta 90.00
_cell_angle_gamma 90.00
loop_
_atom_site_label
_atom_site_type_symbol
_atom_site_fract_x
_atom_site_fract_y
_atom_site_fract_z
Zr1 Zr 0.250 0.532 0.676
Zr2 Zr 0.250 0.032 0.824
Zr3 Zr 0.750 0.968 0.176
Zr4 Zr 0.750 0.468 0.324
Mn1 Mn 0.750 0.366 0.942
Mn2 Mn 0.250 0.134 0.442
Mn3 Mn 0.750 0.866 0.558
Mn4 Mn 0.250 0.634 0.058
Si1 Si 0.250 0.262 0.127
Si2 Si 0.250 0.762 0.373
Si3 Si 0.750 0.738 0.873
Si4 Si 0.750 0.238 0.627
# - calculated total energy (eV/atom) = -16.20
# - DFT formation energy (eV per atom) = -0.80
# - symmetry = Pnma (62)
# - crystal system = orthorhombic
# - mass density (g/cm3) = 5.90
# - calculated volume (Å³/cell) = 196.0

---

# r2SCAN SnO2, relaxed
data_SnO2
_space_group_name_H-M_alt 'P 1'
_space_group_IT_number 1
_space_group_name_Hall 'P 1'
_cell_length_a 4.735
_cell_length_b 5.247
_cell_length_c 5.751
_cell_angle_alpha 90.00
_cell_angle_beta 90.00
_cell_angle_gamma 90.00
loop_
_atom_site_label
_atom_site_type_symbol
_atom_site_fract_x
_atom_site_fract_y
_atom_site_fract_z
Sn1 Sn 0.500 0.750 0.335
Sn2 Sn 0.000 0.250 0.165
Sn3 Sn 0.500 0.250 0.665
Sn4 Sn 0.000 0.750 0.835
O1 O 0.730 0.079 0.393
O2 O 0.230 0.921 0.107
O3 O 0.770 0.579 0.107
O4 O 0.270 0.421 0.393
O5 O 0.730 0.579 0.607
O6 O 0.230 0.421 0.893
O7 O 0.770 0.079 0.893
O8 O 0.270 0.921 0.607
# - calculated total energy (eV/atom) = -14.09
# - DFT formation energy (eV per atom) = -1.86
# - symmetry = Pbcn (60)
# - crystal system = orthorhombic
# - mass density (g/cm3) = 7.01
# - calculated volume (Å³/cell) = 142.9

---

Total magnetic moment across the listed records, respectively: 3.00 0.00 μB per formula unit.